Entry 1:
{"formula": "NaV3H6S2O14", "functional": "GGA+U", "state": "relaxed", "lattice": [[0.542, 4.157, 6.116], [11.742, 2.877, 1.499], [0.608, 7.367, -0.566]], "species": ["Na", "Na", "V", "V", "V", "V", "V", "V", "H", "H", "H", "H", "H", "H", "H", "H", "H", "H", "H", "H", "S", "S", "S", "S", "O", "O", "O", "O", "O", "O", "O", "O", "O", "O", "O", "O", "O", "O", "O", "O", "O", "O", "O", "O", "O", "O", "O", "O", "O", "O", "O", "O"], "fractional_positions": [[0.000, 0.000, 0.000], [0.500, 0.500, 0.500], [0.750, 0.250, 0.250], [0.750, 0.250, 0.750], [0.250, 0.250, 0.750], [0.250, 0.750, 0.750], [0.250, 0.750, 0.250], [0.750, 0.750, 0.250], [0.557, 0.158, 0.142], [0.057, 0.658, 0.643], [0.142, 0.158, 0.557], [0.643, 0.658, 0.057], [0.142, 0.158, 0.142], [0.642, 0.658, 0.642], [0.943, 0.342, 0.358], [0.443, 0.842, 0.858], [0.358, 0.342, 0.943], [0.858, 0.842, 0.443], [0.358, 0.342, 0.358], [0.858, 0.842, 0.858], [0.155, 0.535, 0.155], [0.655, 0.035, 0.655], [0.345, 0.965, 0.345], [0.845, 0.465, 0.845], [0.198, 0.406, 0.198], [0.698, 0.906, 0.698], [0.302, 0.094, 0.302], [0.802, 0.594, 0.802], [0.250, 0.578, 0.921], [0.750, 0.078, 0.421], [0.250, 0.578, 0.250], [0.750, 0.078, 0.750], [0.921, 0.578, 0.250], [0.421, 0.078, 0.750], [0.250, 0.922, 0.579], [0.750, 0.422, 0.079], [0.250, 0.922, 0.250], [0.750, 0.422, 0.750], [0.579, 0.922, 0.249], [0.079, 0.422, 0.750], [0.820, 0.302, 0.439], [0.320, 0.802, 0.939], [0.439, 0.302, 0.819], [0.939, 0.802, 0.320], [0.439, 0.302, 0.439], [0.939, 0.802, 0.939], [0.680, 0.198, 0.061], [0.180, 0.698, 0.561], [0.061, 0.198, 0.681], [0.561, 0.698, 0.180], [0.061, 0.198, 0.061], [0.561, 0.698, 0.561]], "energy_ev_per_cell": -324.972, "formation_enthalpy_0k_ev_per_atom": -1.95, "m_tot_mub_per_atom": 0.000}

---

Entry 2:
{"formula": "K6Cr2O9", "functional": "GGA+U", "state": "relaxed", "lattice": [[4.774, -4.284, 0.000], [4.774, 4.284, 0.000], [-0.163, 0.000, 7.868]], "species": ["K", "K", "K", "K", "K", "K", "Cr", "Cr", "O", "O", "O", "O", "O", "O", "O", "O", "O"], "fractional_positions": [[0.000, 0.000, 0.000], [0.003, 0.509, 0.269], [0.007, 0.498, 0.756], [0.498, 0.007, 0.756], [0.504, 0.504, 0.553], [0.509, 0.003, 0.269], [0.515, 0.515, 0.026], [0.974, 0.974, 0.549], [0.097, 0.097, 0.376], [0.168, 0.832, 0.663], [0.236, 0.236, 0.461], [0.333, 0.675, 0.144], [0.374, 0.374, 0.883], [0.675, 0.333, 0.144], [0.680, 0.680, 0.933], [0.801, 0.801, 0.476], [0.832, 0.168, 0.663]], "energy_ev_per_cell": -91.961, "formation_enthalpy_0k_ev_per_atom": -1.58, "m_tot_mub_per_atom": 0.000}

---

Entry 3:
{"formula": "Na6Mn2AsC4O16", "functional": "GGA+U", "state": "relaxed", "lattice": [[0.000, 7.136, 7.136], [7.136, 0.000, 7.136], [7.136, 7.136, 0.000]], "species": ["Na", "Na", "Na", "Na", "Na", "Na", "Na", "Na", "Na", "Na", "Na", "Na", "Mn", "Mn", "Mn", "Mn", "As", "As", "C", "C", "C", "C", "C", "C", "C", "C", "O", "O", "O", "O", "O", "O", "O", "O", "O", "O", "O", "O", "O", "O", "O", "O", "O", "O", "O", "O", "O", "O", "O", "O", "O", "O", "O", "O", "O", "O", "O", "O"], "fractional_positions": [[0.085, 0.085, 0.665], [0.085, 0.665, 0.085], [0.085, 0.665, 0.665], [0.335, 0.335, 0.915], [0.335, 0.915, 0.335], [0.335, 0.915, 0.915], [0.665, 0.085, 0.085], [0.665, 0.085, 0.665], [0.665, 0.665, 0.085], [0.915, 0.335, 0.335], [0.915, 0.335, 0.915], [0.915, 0.915, 0.335], [0.000, 0.500, 0.500], [0.500, 0.000, 0.500], [0.500, 0.500, 0.000], [0.500, 0.500, 0.500], [0.125, 0.125, 0.125], [0.875, 0.875, 0.875], [0.283, 0.283, 0.283], [0.283, 0.283, 0.651], [0.283, 0.651, 0.283], [0.349, 0.717, 0.717], [0.651, 0.283, 0.283], [0.717, 0.349, 0.717], [0.717, 0.717, 0.349], [0.717, 0.717, 0.717], [0.055, 0.055, 0.055], [0.055, 0.055, 0.334], [0.055, 0.334, 0.055], [0.144, 0.306, 0.397], [0.144, 0.397, 0.653], [0.144, 0.653, 0.306], [0.306, 0.144, 0.653], [0.306, 0.397, 0.144], [0.306, 0.653, 0.397], [0.334, 0.055, 0.055], [0.347, 0.603, 0.694], [0.347, 0.694, 0.856], [0.347, 0.856, 0.603], [0.397, 0.144, 0.306], [0.397, 0.306, 0.653], [0.397, 0.653, 0.144], [0.603, 0.347, 0.856], [0.603, 0.694, 0.347], [0.603, 0.856, 0.694], [0.653, 0.144, 0.397], [0.653, 0.306, 0.144], [0.653, 0.397, 0.306], [0.666, 0.945, 0.945], [0.694, 0.347, 0.603], [0.694, 0.603, 0.856], [0.694, 0.856, 0.347], [0.856, 0.347, 0.694], [0.856, 0.603, 0.347], [0.856, 0.694, 0.603], [0.945, 0.666, 0.945], [0.945, 0.945, 0.666], [0.945, 0.945, 0.945]], "energy_ev_per_cell": -380.849, "formation_enthalpy_0k_ev_per_atom": -1.99, "m_tot_mub_per_atom": 0.320}

---

Entry 4:
{"formula": "Zr3NbCr4F24", "functional": "GGA+U", "state": "relaxed", "lattice": [[5.949, 0.000, 0.000], [0.000, 8.211, 0.000], [-0.048, 0.000, 11.867]], "species": ["Zr", "Zr", "Zr", "Nb", "Cr", "Cr", "Cr", "Cr", "F", "F", "F", "F", "F", "F", "F", "F", "F", "F", "F", "F", "F", "F", "F", "F", "F", "F", "F", "F", "F", "F", "F", "F"], "fractional_positions": [[0.000, 0.000, 0.000], [0.035, 0.000, 0.499], [0.499, 0.500, 0.751], [0.537, 0.500, 0.250], [0.016, 0.500, 0.002], [0.017, 0.500, 0.500], [0.516, 0.000, 0.750], [0.520, 0.000, 0.250], [0.002, 0.251, 0.000], [0.002, 0.749, 0.000], [0.033, 0.250, 0.499], [0.033, 0.750, 0.499], [0.235, 0.000, 0.121], [0.235, 0.000, 0.879], [0.250, 0.500, 0.628], [0.252, 0.500, 0.872], [0.284, 0.000, 0.377], [0.285, 0.000, 0.621], [0.298, 0.500, 0.129], [0.308, 0.500, 0.366], [0.502, 0.250, 0.750], [0.502, 0.750, 0.750], [0.533, 0.250, 0.250], [0.533, 0.750, 0.250], [0.734, 0.500, 0.629], [0.736, 0.500, 0.872], [0.751, 0.000, 0.120], [0.751, 0.000, 0.877], [0.777, 0.500, 0.134], [0.787, 0.500, 0.372], [0.799, 0.000, 0.378], [0.801, 0.000, 0.620]], "energy_ev_per_cell": -212.046, "formation_enthalpy_0k_ev_per_atom": -3.46}

---

Entry 5:
{"formula": "SrCaMn2O6", "functional": "GGA+U", "state": "relaxed", "lattice": [[0.005, -5.393, -3.885], [-0.005, 5.393, -3.885], [5.393, -0.005, -3.885]], "species": ["Sr", "Sr", "Ca", "Ca", "Mn", "Mn", "Mn", "Mn", "O", "O", "O", "O", "O", "O", "O", "O", "O", "O", "O", "O"], "fractional_positions": [[0.500, 0.000, 0.000], [0.000, 0.000, 0.500], [0.500, 0.500, 0.500], [0.000, 0.500, 0.000], [0.500, 0.000, 0.500], [0.000, 0.500, 0.500], [0.000, 0.000, 0.000], [0.500, 0.500, 0.000], [0.750, 0.500, 0.750], [0.250, 0.500, 0.250], [0.250, 0.000, 0.750], [0.750, 0.000, 0.250], [0.504, 0.254, 0.250], [0.004, 0.254, 0.750], [0.496, 0.746, 0.750], [0.996, 0.746, 0.250], [0.250, 0.255, 0.995], [0.750, 0.255, 0.495], [0.750, 0.745, 0.005], [0.250, 0.745, 0.505]], "energy_ev_per_cell": -137.241, "formation_enthalpy_0k_ev_per_atom": -2.44, "m_tot_mub_per_atom": 0.000}

---

Entry 6:
{"formula": "LiNi2O4", "functional": "GGA+U", "state": "relaxed", "lattice": [[-2.830, 2.870, 4.097], [2.830, -2.870, 4.097], [2.830, 2.870, -4.097]], "species": ["Li", "Li", "Ni", "Ni", "Ni", "Ni", "O", "O", "O", "O", "O", "O", "O", "O"], "fractional_positions": [[0.000, 0.000, 0.000], [0.500, 0.000, 0.500], [0.000, 0.500, 0.500], [0.500, 0.000, 0.000], [0.500, 0.500, 0.000], [0.500, 0.500, 0.500], [0.273, 0.290, 0.518], [0.273, 0.755, 0.982], [0.285, 0.250, 0.035], [0.286, 0.750, 0.535], [0.714, 0.250, 0.465], [0.715, 0.750, 0.965], [0.727, 0.245, 0.018], [0.727, 0.710, 0.482]], "energy_ev_per_cell": -67.284, "formation_enthalpy_0k_ev_per_atom": -1.17, "m_tot_mub_per_atom": 0.143}